Density functional theory data (PBE) for a relaxed structure of Bi19S27Br3.

Cell lengths 16.126, 16.126, 16.126 Å; angles 113.94, 113.94, 113.94 degrees
Positions (direct):
Bi (0.004, 0.714, 0.770)
Bi (0.044, 0.527, 0.918)
Bi (0.056, 0.107, 0.351)
Bi (0.060, 0.814, 0.109)
Bi (0.062, 0.062, 0.062)
Bi (0.107, 0.351, 0.056)
Bi (0.109, 0.060, 0.814)
Bi (0.118, 0.635, 0.244)
Bi (0.153, 0.444, 0.387)
Bi (0.195, 0.586, 0.711)
Bi (0.244, 0.118, 0.635)
Bi (0.255, 0.381, 0.866)
Bi (0.297, 0.907, 0.782)
Bi (0.351, 0.056, 0.107)
Bi (0.380, 0.428, 0.675)
Bi (0.381, 0.866, 0.255)
Bi (0.387, 0.153, 0.444)
Bi (0.428, 0.675, 0.380)
Bi (0.444, 0.387, 0.153)
Bi (0.453, 0.969, 0.578)
Bi (0.490, 0.784, 0.734)
Bi (0.527, 0.918, 0.044)
Bi (0.568, 0.568, 0.568)
Bi (0.578, 0.453, 0.969)
Bi (0.586, 0.711, 0.195)
Bi (0.635, 0.244, 0.118)
Bi (0.675, 0.380, 0.428)
Bi (0.711, 0.195, 0.586)
Bi (0.714, 0.770, 0.004)
Bi (0.734, 0.490, 0.784)
Bi (0.770, 0.004, 0.714)
Bi (0.782, 0.297, 0.907)
Bi (0.784, 0.734, 0.490)
Bi (0.814, 0.109, 0.060)
Bi (0.866, 0.255, 0.381)
Bi (0.907, 0.782, 0.297)
Bi (0.918, 0.044, 0.527)
Bi (0.969, 0.578, 0.453)
S (0.003, 0.938, 0.549)
S (0.041, 0.179, 0.777)
S (0.047, 0.206, 0.228)
S (0.049, 0.787, 0.652)
S (0.110, 0.372, 0.507)
S (0.118, 0.953, 0.929)
S (0.122, 0.986, 0.386)
S (0.159, 0.224, 0.612)
S (0.179, 0.777, 0.041)
S (0.206, 0.228, 0.047)
S (0.218, 0.670, 0.604)
S (0.224, 0.612, 0.159)
S (0.228, 0.047, 0.206)
S (0.265, 0.449, 0.285)
S (0.273, 0.884, 0.338)
S (0.277, 0.824, 0.889)
S (0.285, 0.265, 0.449)
S (0.319, 0.720, 0.457)
S (0.338, 0.273, 0.884)
S (0.372, 0.507, 0.110)
S (0.381, 0.546, 0.569)
S (0.386, 0.122, 0.986)
S (0.444, 0.708, 0.844)
S (0.449, 0.285, 0.265)
S (0.457, 0.319, 0.720)
S (0.494, 0.559, 0.946)
S (0.507, 0.110, 0.372)
S (0.546, 0.569, 0.381)
S (0.549, 0.003, 0.938)
S (0.559, 0.946, 0.494)
S (0.569, 0.381, 0.546)
S (0.594, 0.774, 0.615)
S (0.604, 0.218, 0.670)
S (0.612, 0.159, 0.224)
S (0.615, 0.594, 0.774)
S (0.652, 0.049, 0.787)
S (0.670, 0.604, 0.218)
S (0.708, 0.844, 0.444)
S (0.717, 0.880, 0.901)
S (0.720, 0.457, 0.319)
S (0.774, 0.615, 0.594)
S (0.777, 0.041, 0.179)
S (0.787, 0.652, 0.049)
S (0.824, 0.889, 0.277)
S (0.844, 0.444, 0.708)
S (0.880, 0.901, 0.717)
S (0.884, 0.338, 0.273)
S (0.889, 0.277, 0.824)
S (0.901, 0.717, 0.880)
S (0.929, 0.118, 0.953)
S (0.938, 0.549, 0.003)
S (0.946, 0.494, 0.559)
S (0.953, 0.929, 0.118)
S (0.986, 0.386, 0.122)
Br (0.166, 0.833, 0.500)
Br (0.332, 0.665, 0.998)
Br (0.500, 0.166, 0.833)
Br (0.665, 0.998, 0.332)
Br (0.833, 0.500, 0.166)
Br (0.998, 0.332, 0.665)

Output
The calculation puts the formation energy at -3205 kJ/mol of formula units. For the calculated volume, the calculation gives 2560 Å³/cell. As for the space group: R3 (146). The calculation puts the total magnetization at 0.00 μB/cell.

---

Density functional theory data (PBE) for a relaxed structure of UAl7Fe5.

Cell lengths 6.570, 6.570, 6.570 Å; angles 135.84, 97.92, 98.32 degrees
Positions (direct):
U (0.000, 0.000, 0.000)
Al (0.204, 0.492, 0.712)
Al (0.325, 0.980, 0.345)
Al (0.335, 0.335, 0.000)
Al (0.636, 0.980, 0.655)
Al (0.651, 0.651, 0.000)
Al (0.766, 0.266, 0.500)
Al (0.780, 0.492, 0.288)
Fe (0.216, 0.716, 0.500)
Fe (0.485, 0.485, 0.496)
Fe (0.485, 0.989, 0.001)
Fe (0.989, 0.485, 0.999)
Fe (0.989, 0.989, 0.504)

Output
The calculation puts the formation energy at -381 kJ/mol of formula units. For the calculated volume, the calculation gives 183 Å³/cell. As for the space group: Imm2 (44).

---

Density functional theory data (PBE) for a relaxed structure of Na10YTa7Si12O48.

Cell lengths 9.085, 15.692, 22.655 Å; angles 89.99, 90.00, 89.91 degrees
Positions (direct):
Na (0.000, 0.000, 0.000)
Na (0.001, 0.672, 0.334)
Na (0.050, 0.693, 0.999)
Na (0.163, 0.187, 0.749)
Na (0.178, 0.855, 0.086)
Na (0.178, 0.856, 0.585)
Na (0.183, 0.194, 0.251)
Na (0.183, 0.527, 0.917)
Na (0.188, 0.514, 0.415)
Na (0.306, 0.692, 0.500)
Na (0.319, 0.356, 0.835)
Na (0.357, 0.003, 0.499)
Na (0.361, 0.033, 0.835)
Na (0.486, 0.872, 0.000)
Na (0.495, 0.205, 0.668)
Na (0.500, 0.500, 0.001)
Na (0.537, 0.858, 0.335)
Na (0.549, 0.193, 0.000)
Na (0.670, 0.689, 0.748)
Na (0.673, 0.683, 0.249)
Na (0.676, 0.031, 0.417)
Na (0.678, 0.355, 0.583)
Na (0.678, 0.356, 0.087)
Na (0.683, 0.026, 0.916)
Na (0.820, 0.856, 0.834)
Na (0.861, 0.503, 0.500)
Na (0.863, 0.534, 0.835)
Na (0.871, 0.873, 0.500)
Na (0.986, 0.372, 0.001)
Na (0.995, 0.037, 0.336)
Y (0.179, 0.854, 0.934)
Y (0.179, 0.856, 0.435)
Y (0.679, 0.354, 0.935)
Ta (0.175, 0.188, 0.897)
Ta (0.176, 0.191, 0.606)
Ta (0.178, 0.189, 0.110)
Ta (0.178, 0.522, 0.067)
Ta (0.178, 0.854, 0.729)
Ta (0.179, 0.855, 0.229)
Ta (0.180, 0.192, 0.396)
Ta (0.180, 0.519, 0.564)
Ta (0.180, 0.524, 0.767)
Ta (0.181, 0.517, 0.271)
Ta (0.675, 0.689, 0.897)
Ta (0.676, 0.026, 0.269)
Ta (0.676, 0.352, 0.438)
Ta (0.676, 0.685, 0.396)
Ta (0.678, 0.022, 0.066)
Ta (0.678, 0.356, 0.229)
Ta (0.678, 0.687, 0.609)
Ta (0.679, 0.688, 0.110)
Ta (0.680, 0.025, 0.564)
Ta (0.681, 0.023, 0.767)
Ta (0.683, 0.358, 0.730)
Si (0.029, 0.003, 0.834)
Si (0.030, 0.377, 0.168)
Si (0.031, 0.049, 0.502)
Si (0.032, 0.706, 0.835)
Si (0.033, 0.332, 0.501)
Si (0.035, 0.666, 0.170)
Si (0.317, 0.333, 0.003)
Si (0.322, 0.667, 0.666)
Si (0.325, 0.047, 0.003)
Si (0.326, 0.377, 0.668)
Si (0.326, 0.706, 0.334)
Si (0.327, 0.005, 0.334)
Si (0.386, 0.020, 0.666)
Si (0.393, 0.355, 0.334)
Si (0.393, 0.686, 0.004)
Si (0.465, 0.190, 0.502)
Si (0.468, 0.521, 0.168)
Si (0.474, 0.855, 0.833)
Si (0.527, 0.504, 0.834)
Si (0.532, 0.206, 0.834)
Si (0.532, 0.877, 0.169)
Si (0.533, 0.543, 0.502)
Si (0.534, 0.169, 0.167)
Si (0.540, 0.832, 0.503)
Si (0.817, 0.833, 0.004)
Si (0.823, 0.212, 0.334)
Si (0.824, 0.497, 0.335)
Si (0.824, 0.876, 0.667)
Si (0.825, 0.547, 0.003)
Si (0.827, 0.168, 0.667)
Si (0.881, 0.856, 0.334)
Si (0.888, 0.521, 0.667)
Si (0.893, 0.186, 0.004)
Si (0.965, 0.686, 0.503)
Si (0.969, 0.021, 0.168)
Si (0.976, 0.355, 0.834)
O (0.001, 0.172, 0.945)
O (0.001, 0.839, 0.280)
O (0.002, 0.199, 0.342)
O (0.002, 0.513, 0.328)
O (0.002, 0.869, 0.676)
O (0.003, 0.197, 0.060)
O (0.004, 0.178, 0.662)
O (0.007, 0.542, 0.008)
O (0.032, 0.950, 0.895)
O (0.065, 0.599, 0.508)
O (0.066, 0.103, 0.442)
O (0.066, 0.436, 0.109)
O (0.066, 0.774, 0.781)
O (0.067, 0.606, 0.227)
O (0.067, 0.770, 0.503)
O (0.070, 0.935, 0.176)
O (0.071, 0.274, 0.559)
O (0.072, 0.106, 0.161)
O (0.082, 0.270, 0.839)
O (0.085, 0.436, 0.821)
O (0.092, 0.609, 0.823)
O (0.099, 0.735, 0.897)
O (0.105, 0.954, 0.503)
O (0.106, 0.100, 0.557)
O (0.106, 0.425, 0.224)
O (0.106, 0.428, 0.509)
O (0.107, 0.619, 0.110)
O (0.108, 0.283, 0.161)
O (0.108, 0.285, 0.444)
O (0.112, 0.760, 0.176)
O (0.113, 0.952, 0.780)
O (0.115, 0.095, 0.840)
O (0.235, 0.426, 0.008)
O (0.241, 0.097, 0.338)
O (0.243, 0.952, 0.280)
O (0.245, 0.288, 0.943)
O (0.245, 0.761, 0.675)
O (0.248, 0.736, 0.395)
O (0.249, 0.620, 0.607)
O (0.251, 0.613, 0.322)
O (0.253, 0.098, 0.058)
O (0.253, 0.422, 0.726)
O (0.253, 0.953, 0.002)
O (0.256, 0.281, 0.662)
O (0.277, 0.271, 0.058)
O (0.283, 0.936, 0.675)
O (0.285, 0.606, 0.722)
O (0.286, 0.439, 0.327)
O (0.288, 0.271, 0.344)
O (0.288, 0.438, 0.611)
O (0.289, 0.769, 0.003)
O (0.290, 0.109, 0.660)
O (0.292, 0.774, 0.280)
O (0.293, 0.598, 0.008)
O (0.295, 0.105, 0.943)
O (0.326, 0.950, 0.395)
O (0.349, 0.199, 0.838)
O (0.352, 0.514, 0.821)
O (0.353, 0.538, 0.508)
O (0.354, 0.173, 0.446)
O (0.354, 0.869, 0.176)
O (0.355, 0.176, 0.161)
O (0.355, 0.532, 0.223)
O (0.356, 0.842, 0.779)
O (0.362, 0.509, 0.109)
O (0.362, 0.843, 0.503)
O (0.365, 0.203, 0.562)
O (0.394, 0.882, 0.894)
O (0.494, 0.037, 0.723)
O (0.494, 0.344, 0.003)
O (0.495, 0.009, 0.608)
O (0.499, 0.342, 0.277)
O (0.500, 0.368, 0.392)
O (0.500, 0.675, 0.660)
O (0.501, 0.672, 0.945)
O (0.503, 0.015, 0.321)
O (0.504, 0.697, 0.060)
O (0.505, 0.365, 0.675)
O (0.507, 0.041, 0.008)
O (0.507, 0.702, 0.339)
O (0.532, 0.450, 0.895)
O (0.562, 0.101, 0.509)
O (0.563, 0.607, 0.445)
O (0.564, 0.271, 0.778)
O (0.567, 0.937, 0.110)
O (0.571, 0.107, 0.222)
O (0.571, 0.436, 0.175)
O (0.571, 0.606, 0.162)
O (0.572, 0.273, 0.494)
O (0.579, 0.769, 0.558)
O (0.582, 0.771, 0.839)
O (0.584, 0.936, 0.820)
O (0.591, 0.108, 0.822)
O (0.599, 0.237, 0.896)
O (0.605, 0.926, 0.225)
O (0.606, 0.121, 0.108)
O (0.608, 0.784, 0.162)
O (0.610, 0.589, 0.559)
O (0.611, 0.262, 0.174)
O (0.611, 0.452, 0.780)
O (0.612, 0.787, 0.443)
O (0.614, 0.451, 0.494)
O (0.615, 0.595, 0.839)
O (0.620, 0.927, 0.508)
O (0.735, 0.926, 0.008)
O (0.741, 0.260, 0.675)
O (0.745, 0.120, 0.611)
O (0.746, 0.788, 0.943)
O (0.748, 0.451, 0.278)
O (0.748, 0.782, 0.660)
O (0.749, 0.259, 0.392)
O (0.751, 0.923, 0.724)
O (0.752, 0.594, 0.343)
O (0.753, 0.453, 0.002)
O (0.753, 0.598, 0.058)
O (0.756, 0.115, 0.327)
O (0.773, 0.938, 0.322)
O (0.777, 0.771, 0.059)
O (0.781, 0.768, 0.339)
O (0.784, 0.606, 0.662)
O (0.785, 0.435, 0.675)
O (0.788, 0.272, 0.277)
O (0.788, 0.938, 0.609)
O (0.789, 0.107, 0.724)
O (0.789, 0.269, 0.003)
O (0.790, 0.440, 0.395)
O (0.794, 0.098, 0.008)
O (0.794, 0.605, 0.943)
O (0.849, 0.699, 0.839)
O (0.851, 0.038, 0.509)
O (0.852, 0.014, 0.821)
O (0.852, 0.695, 0.558)
O (0.853, 0.369, 0.175)
O (0.855, 0.347, 0.495)
O (0.857, 0.342, 0.779)
O (0.857, 0.676, 0.162)
O (0.860, 0.672, 0.444)
O (0.861, 0.009, 0.110)
O (0.864, 0.035, 0.226)
O (0.892, 0.382, 0.894)
O (0.964, 0.881, 0.395)
O (0.992, 0.533, 0.725)
O (0.994, 0.844, 0.003)
O (0.995, 0.508, 0.609)

Output
The calculation puts the formation energy at -23529 kJ/mol of formula units. For the calculated volume, the calculation gives 3230 Å³/cell. As for the space group: P1 (1). The calculation puts the total magnetization at 0.00 μB/cell.

---

Density functional theory data (PBE) for a relaxed structure of RhO3.

Cell lengths 6.471, 6.471, 6.471 Å; angles 117.76, 117.76, 117.76 degrees
Positions (direct):
Rh (0.000, 0.000, 0.000)
O (0.000, 0.842, 0.158)
O (0.158, 0.000, 0.842)
O (0.842, 0.158, 0.000)

Output
The calculation puts the formation energy at -138 kJ/mol of formula units. For the calculated volume, the calculation gives 104 Å³/cell. As for the space group: R32 (155). The calculation puts the total magnetization at 0.00 μB/cell.